1.
Below is a relaxed structure of MgSb2, with properties calculated at the PBE-GGA level.

```
6
Lattice="5.9855 -1.6646 0.0000 5.9855 1.6646 0.0000 -2.5504 0.0000 7.9084" Properties=species:S:1:pos:R:3 pbc="T T T"
Mg 1.9267 0.0000 1.1566
Mg 7.4939 0.0000 6.7518
Sb 0.4737 0.0000 4.3735
Sb 4.9734 0.0000 1.2363
Sb 4.4472 0.0000 6.6720
Sb 8.9469 0.0000 3.5349
```

Calculated values
* E (MP2020): -20.57 eV/cell
* space-group type: C2/m (12)

2.
Below is a relaxed structure of NaLaTi8Cu6O24, with properties calculated at the PBE-GGA level.

```
40
Lattice="7.4850 0.0000 0.0000 0.0000 7.4850 0.0000 0.0000 0.0000 7.4850" Properties=species:S:1:pos:R:3 pbc="T T T"
Na 0.0000 0.0000 0.0000
La 3.7425 3.7425 3.7425
Ti 1.8335 1.8335 1.8335
Ti 1.8335 1.8335 5.6516
Ti 1.8335 5.6516 1.8335
Ti 1.8335 5.6516 5.6516
Ti 5.6516 1.8335 1.8335
Ti 5.6516 1.8335 5.6516
Ti 5.6516 5.6516 1.8335
Ti 5.6516 5.6516 5.6516
Cu 0.0000 0.0000 3.7425
Cu 0.0000 3.7425 0.0000
Cu 0.0000 3.7425 3.7425
Cu 3.7425 0.0000 0.0000
Cu 3.7425 0.0000 3.7425
Cu 3.7425 3.7425 0.0000
O 0.0000 2.2947 1.3328
O 0.0000 2.2947 6.1522
O 0.0000 5.1904 1.3328
O 0.0000 5.1904 6.1522
O 1.3328 0.0000 2.2947
O 1.3328 0.0000 5.1904
O 1.4746 2.4096 3.7425
O 1.4746 5.0755 3.7425
O 2.2947 1.3328 0.0000
O 2.2947 6.1522 0.0000
O 2.4096 3.7425 1.4746
O 2.4096 3.7425 6.0104
O 3.7425 1.4746 2.4096
O 3.7425 1.4746 5.0755
O 3.7425 6.0104 2.4096
O 3.7425 6.0104 5.0755
O 5.0755 3.7425 1.4746
O 5.0755 3.7425 6.0104
O 5.1904 1.3328 0.0000
O 5.1904 6.1522 0.0000
O 6.0104 2.4096 3.7425
O 6.0104 5.0755 3.7425
O 6.1522 0.0000 2.2947
O 6.1522 0.0000 5.1904
```

Calculated values
* E (MP2020): -319.87 eV/cell
* space-group type: Pm-3 (200)

3.
Below is a relaxed structure of CuH12C4N6O6, with properties calculated at the PBE-GGA level.

```
116
Lattice="9.1468 0.0000 0.0000 0.0000 9.1468 0.0000 0.0000 0.0000 12.7704" Properties=species:S:1:pos:R:3 pbc="T T T"
Cu 0.0000 0.0000 0.0000
Cu 0.0000 4.5734 3.1926
Cu 4.5734 0.0000 9.5778
Cu 4.5734 4.5734 6.3852
H 0.1425 3.2884 6.1484
H 0.2585 1.1538 9.6019
H 1.1538 8.8883 3.1685
H 1.2849 4.4309 0.2368
H 1.3490 7.4224 4.1080
H 1.6176 2.8659 12.2413
H 1.6242 6.4039 11.7509
H 1.7075 2.9558 6.9143
H 1.7244 1.3490 8.6624
H 1.7563 7.3607 8.7182
H 1.7861 1.7563 4.0523
H 1.8305 6.1976 7.4048
H 2.7429 1.6242 1.0196
H 2.7873 6.3297 10.4375
H 2.8171 2.7873 2.3330
H 2.8490 5.9224 2.2772
H 2.8659 7.5292 0.5291
H 2.9492 1.8305 5.3656
H 2.9558 7.4393 5.8561
H 3.2244 2.8490 10.4932
H 3.2884 9.0043 6.6220
H 3.4196 4.3149 9.5537
H 4.3149 5.7272 3.2167
H 4.4309 7.8618 12.5336
H 4.7159 1.2849 12.5336
H 4.8318 3.4196 3.2167
H 5.7272 4.8318 9.5537
H 5.8583 0.1425 6.6220
H 5.9224 6.2977 10.4932
H 6.1910 1.7075 5.8561
H 6.1976 7.3163 5.3656
H 6.2809 1.6176 0.5291
H 6.2977 3.2244 2.2772
H 6.3297 6.3595 2.3330
H 6.3595 2.8171 10.4375
H 6.4039 7.5225 1.0196
H 7.3163 2.9492 7.4048
H 7.3607 7.3905 4.0523
H 7.3905 1.7861 8.7182
H 7.4224 7.7978 8.6624
H 7.4393 6.1910 6.9143
H 7.5225 2.7429 11.7509
H 7.5292 6.2809 12.2413
H 7.7978 1.7244 4.1080
H 7.8618 4.7159 0.2368
H 7.9929 0.2585 3.1685
H 8.8883 7.9929 9.6019
H 9.0043 5.8583 6.1484
C 0.0545 2.3115 7.9386
C 0.3897 6.8025 1.5288
C 2.2291 4.9631 4.8564
C 2.2619 4.5189 11.2171
C 2.3115 9.0923 4.8318
C 2.3443 0.3897 11.2417
C 4.1837 2.2291 7.9140
C 4.5189 6.8848 1.5534
C 4.6279 2.2619 1.5534
C 4.9631 6.9177 7.9140
C 6.8025 8.7571 11.2417
C 6.8353 0.0545 4.8318
C 6.8848 4.6279 11.2171
C 6.9177 4.1837 4.8564
C 8.7571 2.3443 1.5288
C 9.0923 6.8353 7.9386
N 0.6843 2.9641 6.9562
N 0.7543 1.6156 8.8452
N 1.2738 6.7763 8.0402
N 1.6093 3.8891 12.1995
N 1.6156 8.3925 3.9252
N 2.2030 5.8472 11.1155
N 2.3704 1.2738 4.7303
N 2.9578 3.8191 10.3104
N 2.9641 8.4625 5.8143
N 3.2996 2.2030 1.6550
N 3.8191 6.1890 2.4600
N 3.8891 7.5375 0.5710
N 5.2577 1.6093 0.5710
N 5.3277 2.9578 2.4600
N 5.8472 6.9438 1.6550
N 6.1827 0.6843 5.8143
N 6.1890 5.3277 10.3104
N 6.7763 7.8730 4.7303
N 6.9438 3.2996 11.1155
N 7.5311 0.7543 3.9252
N 7.5375 5.2577 12.1995
N 7.8730 2.3704 8.0402
N 8.3925 7.5311 8.8452
N 8.4625 6.1827 6.9562
O 0.5179 1.8453 2.2533
O 0.8980 7.4275 0.4846
O 0.9172 5.6110 1.7656
O 1.0377 5.4906 4.6196
O 1.7193 0.8980 12.2859
O 1.8453 8.6289 10.5172
O 2.7281 4.0555 4.1320
O 2.8541 5.4714 5.9007
O 3.5357 0.9172 11.0048
O 3.6562 1.0377 8.1509
O 3.6753 2.8541 6.8698
O 4.0555 6.4187 8.6385
O 5.0913 2.7281 8.6385
O 5.4714 6.2927 6.8698
O 5.4906 8.1091 8.1509
O 5.6110 8.2296 11.0048
O 6.2927 3.6753 5.9007
O 6.4187 5.0913 4.1320
O 7.3015 0.5179 10.5172
O 7.4275 8.2487 12.2859
O 8.1091 3.6562 4.6196
O 8.2296 3.5357 1.7656
O 8.2487 1.7193 0.4846
O 8.6289 7.3015 2.2533
```

Calculated values
* E (MP2020): -733.88 eV/cell
* space-group type: P-4n2 (118)

4.
Below is a relaxed structure of Pa, with properties calculated at the PBE-GGA level.

```
1
Lattice="-1.9577 1.9577 1.5896 1.9577 -1.9577 1.5896 1.9577 1.9577 -1.5896" Properties=species:S:1:pos:R:3 pbc="T T T"
Pa 0.0000 0.0000 0.0000
```

Calculated values
* ΔE to the lowest computed polymorph: 0.0274 eV/atom
* space-group type: I4/mmm (139)

5.
Below is a relaxed structure of Na2BeF4, with properties calculated at the PBE-GGA level.

```
28
Lattice="11.0908 0.0000 0.0000 0.0000 6.6466 0.0000 0.0000 0.0000 4.9549" Properties=species:S:1:pos:R:3 pbc="T T T"
Na 0.0000 0.0000 0.0000
Na 0.0000 3.3233 0.0000
Na 2.4433 1.6617 2.4197
Na 3.1021 4.9850 4.8972
Na 5.5454 0.0000 2.4775
Na 5.5454 3.3233 2.4775
Na 7.9887 1.6617 0.0577
Na 8.6475 4.9850 2.5352
Be 1.0651 4.9850 2.1091
Be 4.4804 1.6617 4.5866
Be 6.6105 4.9850 0.3684
Be 10.0258 1.6617 2.8458
F 0.4047 1.6617 3.4491
F 1.0404 4.9850 3.6654
F 1.7806 3.7177 1.5053
F 1.7806 6.2522 1.5053
F 3.7648 0.3944 3.9828
F 3.7648 2.9289 3.9828
F 4.5050 1.6617 1.1879
F 5.1407 4.9850 0.9716
F 5.9502 1.6617 3.9833
F 6.5858 4.9850 3.7670
F 7.3260 3.7177 0.9721
F 7.3260 6.2522 0.9721
F 9.3102 0.3944 3.4496
F 9.3102 2.9289 3.4496
F 10.0504 1.6617 1.2895
F 10.6861 4.9850 1.5059
```

Calculated values
* ΔE to the lowest computed polymorph: 0.0000 eV/atom
* E (MP2020): -147.70 eV/cell
* space-group type: Pnma (62)

6.
Below is a relaxed structure of CeAlRh, with properties calculated at the PBE-GGA level.

```
24
Lattice="7.1240 0.0000 0.0000 0.0000 4.2100 0.0000 0.0000 0.0000 15.8737" Properties=species:S:1:pos:R:3 pbc="T T T"
Ce 0.1941 1.0525 3.4995
Ce 1.0917 1.0525 7.0005
Ce 2.4703 3.1575 14.9373
Ce 3.3679 3.1575 11.4363
Ce 3.7561 1.0525 4.4374
Ce 4.6537 1.0525 0.9363
Ce 6.0324 3.1575 8.8732
Ce 6.9300 3.1575 12.3742
Al 0.0384 1.0525 14.8887
Al 1.0288 1.0525 10.3172
Al 2.5332 3.1575 2.3803
Al 3.5236 3.1575 6.9519
Al 3.6004 1.0525 8.9218
Al 4.5908 1.0525 13.4933
Al 6.0953 3.1575 5.5565
Al 7.0856 3.1575 0.9850
Rh 1.5711 1.0525 1.1623
Rh 1.6790 3.1575 5.0491
Rh 1.8830 1.0525 12.9859
Rh 1.9909 3.1575 9.0991
Rh 5.1331 1.0525 6.7746
Rh 5.2410 3.1575 2.8878
Rh 5.4450 1.0525 10.8246
Rh 5.5530 3.1575 14.7114
```

Calculated values
* VASP energy: -6.5292 eV/atom
* space-group type: Pnma (62)

Please write out number 5 again, unchanged.
Below is a relaxed structure of Na2BeF4, with properties calculated at the PBE-GGA level.

```
28
Lattice="11.0908 0.0000 0.0000 0.0000 6.6466 0.0000 0.0000 0.0000 4.9549" Properties=species:S:1:pos:R:3 pbc="T T T"
Na 0.0000 0.0000 0.0000
Na 0.0000 3.3233 0.0000
Na 2.4433 1.6617 2.4197
Na 3.1021 4.9850 4.8972
Na 5.5454 0.0000 2.4775
Na 5.5454 3.3233 2.4775
Na 7.9887 1.6617 0.0577
Na 8.6475 4.9850 2.5352
Be 1.0651 4.9850 2.1091
Be 4.4804 1.6617 4.5866
Be 6.6105 4.9850 0.3684
Be 10.0258 1.6617 2.8458
F 0.4047 1.6617 3.4491
F 1.0404 4.9850 3.6654
F 1.7806 3.7177 1.5053
F 1.7806 6.2522 1.5053
F 3.7648 0.3944 3.9828
F 3.7648 2.9289 3.9828
F 4.5050 1.6617 1.1879
F 5.1407 4.9850 0.9716
F 5.9502 1.6617 3.9833
F 6.5858 4.9850 3.7670
F 7.3260 3.7177 0.9721
F 7.3260 6.2522 0.9721
F 9.3102 0.3944 3.4496
F 9.3102 2.9289 3.4496
F 10.0504 1.6617 1.2895
F 10.6861 4.9850 1.5059
```

Calculated values
* ΔE to the lowest computed polymorph: 0.0000 eV/atom
* E (MP2020): -147.70 eV/cell
* space-group type: Pnma (62)